Zr2TcOs: relaxed, PBE.

Geometry as extended XYZ:
```
4
Lattice="-3.075 -0.386 3.473 -4.518 -0.597 -0.947 -2.037 -4.096 0.861" Properties=species:S:1:pos:R:3 pbc="T T T"
Tc 0.000 0.000 0.000
Zr -7.222 -3.810 2.540
Os -4.815 -2.540 1.693
Zr -2.407 -1.270 0.847
```

Results
Its crystal system is cubic.

=====

Th4Os: relaxed, PBE.

Geometry as extended XYZ:
```
10
Lattice="-0.974 5.158 -5.890 -5.178 -1.517 -5.756 -6.666 4.188 -0.513" Properties=species:S:1:pos:R:3 pbc="T T T"
Th -5.518 5.483 -4.853
Th -7.416 2.469 -4.793
Th -4.846 2.908 -7.220
Th -1.758 1.074 -1.667
Th -4.096 0.389 -4.266
Th -4.768 2.965 -1.899
Os -9.614 5.872 -9.119
Th -2.198 3.403 -4.327
Os 0.000 0.000 0.000
Th -7.856 4.799 -7.452
```

Results
Its size of the total moment is 0.0 μB/f.u. Its crystal system is cubic.

=====

TmThOs2: relaxed, PBE.

Geometry as extended XYZ:
```
4
Lattice="0.000 3.476 3.476 3.476 0.000 3.476 3.476 3.476 0.000" Properties=species:S:1:pos:R:3 pbc="T T T"
Os 1.738 1.738 1.738
Tm 0.000 0.000 0.000
Th 3.476 3.476 3.476
Os 5.213 5.213 5.213
```

Results
Its crystal system is cubic.

=====

TiOs2: relaxed, PBE.

Geometry as extended XYZ:
```
12
Lattice="2.565 -4.443 0.000 2.565 4.443 0.000 0.000 0.000 8.374" Properties=species:S:1:pos:R:3 pbc="T T T"
Os 0.000 0.000 0.000
Os 0.000 0.000 4.187
Os 1.335 -0.771 2.093
Os 2.565 2.901 6.280
Ti 2.565 1.481 0.579
Os 3.795 0.771 6.280
Ti 2.565 -1.481 4.766
Ti 2.565 -1.481 7.795
Os 3.795 -0.771 2.093
Os 1.335 0.771 6.280
Os 2.565 -2.901 2.093
Ti 2.565 1.481 3.608
```

Results
Its size of the total moment is 0.0 μB/f.u. Its crystal system is hexagonal.

=====

TiOs3: relaxed, PBE.

Geometry as extended XYZ:
```
4
Lattice="-1.222 -3.040 2.093 3.450 -1.724 -0.488 1.310 1.704 3.240" Properties=species:S:1:pos:R:3 pbc="T T T"
Os 2.380 -0.010 1.376
Ti 0.000 0.000 0.000
Os 0.044 -0.668 2.666
Os 1.114 -2.382 0.802
```

Results
Its size of the total moment is 0.0 μB/f.u. Its crystal system is cubic.

=====

TiOs: relaxed, PBE.

Geometry as extended XYZ:
```
2
Lattice="-0.134 -2.342 -2.020 2.059 1.441 -1.807 2.307 -1.422 1.495" Properties=species:S:1:pos:R:3 pbc="T T T"
Os 0.000 0.000 0.000
Ti 2.116 -1.161 -1.166
```

Results
Its crystal system is cubic.

=====

Ti2VOs: relaxed, PBE.

Geometry as extended XYZ:
```
8
Lattice="0.000 3.115 3.116 3.118 -3.116 0.001 6.239 3.120 -3.121" Properties=species:S:1:pos:R:3 pbc="T T T"
Os 1.559 1.558 1.557
V 7.798 1.561 -1.562
V 4.678 1.559 1.557
Ti 6.237 3.118 -0.003
Ti 6.238 0.002 -0.003
Ti 3.118 0.000 0.000
Ti 3.119 0.000 3.116
Os 4.679 1.560 -1.561
```

=====

TmOs3: relaxed, PBE.

Geometry as extended XYZ:
```
8
Lattice="2.885 -4.997 0.000 2.885 4.997 0.000 0.000 0.000 4.597" Properties=species:S:1:pos:R:3 pbc="T T T"
Os 4.371 -0.808 3.448
Os 2.885 3.382 1.149
Tm 2.885 1.666 3.448
Tm 2.885 -1.666 1.149
Os 2.885 -3.382 3.448
Os 1.399 0.808 1.149
Os 4.371 0.808 1.149
Os 1.399 -0.808 3.448
```

Results
Its size of the total moment is 0.0 μB/f.u. Its crystal system is hexagonal.

=====

Per-record formation energy, meV per atom: -484.2; 378.8; -223.3; -198.3; -133.8; -707.1; -371.7; 309.0